No. 1
Material: Na3Li3V2F12
Method: DFT, GGA+U
State: optimized geometry

Summary:
Its total DFT energy (no corrections) is -5.28 eV per atom.

Cell: 10.934 10.934 10.934 Å, 109.47 109.47 109.47°
Sites, in units of the cell vectors:
Na: 0.375 0.125 0.250
Na: 0.750 0.125 0.375
Na: 0.250 0.375 0.125
Na: 0.125 0.250 0.375
Na: 0.375 0.750 0.125
Na: 0.125 0.375 0.750
Na: 0.625 0.875 0.750
Na: 0.250 0.875 0.625
Na: 0.875 0.625 0.250
Na: 0.625 0.250 0.875
Na: 0.750 0.625 0.875
Na: 0.875 0.750 0.625
Li: 0.625 0.375 0.250
Li: 0.125 0.875 0.250
Li: 0.875 0.125 0.750
Li: 0.250 0.625 0.375
Li: 0.375 0.250 0.625
Li: 0.750 0.875 0.125
Li: 0.125 0.750 0.875
Li: 0.375 0.625 0.750
Li: 0.625 0.750 0.375
Li: 0.875 0.250 0.125
Li: 0.250 0.125 0.875
Li: 0.750 0.375 0.625
V: 0.000 0.000 0.000
V: 0.500 0.000 0.000
V: 0.000 0.500 0.000
V: 0.000 0.000 0.500
V: 0.500 0.500 0.000
V: 0.000 0.500 0.500
V: 0.500 0.000 0.500
V: 0.500 0.500 0.500
F: 0.078 0.883 0.402
F: 0.695 0.675 0.078
F: 0.805 0.883 0.981
F: 0.981 0.805 0.883
F: 0.825 0.519 0.402
F: 0.695 0.519 0.617
F: 0.617 0.422 0.098
F: 0.617 0.695 0.519
F: 0.675 0.078 0.695
F: 0.519 0.617 0.695
F: 0.098 0.981 0.675
F: 0.883 0.402 0.078
F: 0.422 0.098 0.617
F: 0.402 0.825 0.519
F: 0.078 0.695 0.675
F: 0.098 0.617 0.422
F: 0.519 0.402 0.825
F: 0.422 0.825 0.805
F: 0.981 0.675 0.098
F: 0.825 0.805 0.422
F: 0.117 0.019 0.195
F: 0.598 0.922 0.117
F: 0.195 0.578 0.175
F: 0.175 0.195 0.578
F: 0.325 0.902 0.019
F: 0.019 0.325 0.902
F: 0.922 0.117 0.598
F: 0.481 0.598 0.175
F: 0.902 0.383 0.578
F: 0.922 0.305 0.325
F: 0.598 0.175 0.481
F: 0.578 0.902 0.383
F: 0.305 0.325 0.922
F: 0.195 0.117 0.019
F: 0.019 0.195 0.117
F: 0.175 0.481 0.598
F: 0.305 0.481 0.383
F: 0.383 0.578 0.902
F: 0.383 0.305 0.481
F: 0.325 0.922 0.305
F: 0.481 0.383 0.305
F: 0.902 0.019 0.325
F: 0.117 0.598 0.922
F: 0.578 0.175 0.195
F: 0.883 0.981 0.805
F: 0.402 0.078 0.883
F: 0.805 0.422 0.825
F: 0.675 0.098 0.981

=====

No. 2
Material: Li5VCr3O8
Method: DFT, GGA+U
State: optimized geometry

Summary:
For the relative energy among the computed polymorphs, the calculation gives 0.0000 eV per atom. The value obtained for the piezoelectric modulus e_max is 0.8 C/m2.

Cell: 5.999 5.999 9.929 Å, 90.00 90.00 120.00°
Sites, in units of the cell vectors:
Li: 0.195 0.805 0.047
Li: 0.609 0.805 0.047
Li: 0.333 0.667 0.261
Li: 0.195 0.391 0.047
Li: 0.805 0.609 0.547
Li: 0.000 0.000 0.471
Li: 0.667 0.333 0.761
Li: 0.391 0.195 0.547
Li: 0.000 0.000 0.971
Li: 0.805 0.195 0.547
V: 0.333 0.667 0.511
V: 0.667 0.333 0.011
Cr: 0.168 0.832 0.773
Cr: 0.664 0.832 0.773
Cr: 0.168 0.336 0.773
Cr: 0.832 0.664 0.273
Cr: 0.336 0.168 0.273
Cr: 0.832 0.168 0.273
O: 0.160 0.840 0.388
O: 0.492 0.984 0.656
O: 0.333 0.667 0.888
O: 0.680 0.840 0.388
O: 0.016 0.508 0.656
O: 0.492 0.508 0.656
O: 0.160 0.320 0.388
O: 0.840 0.680 0.888
O: 0.508 0.492 0.156
O: 0.667 0.333 0.388
O: 0.984 0.492 0.156
O: 0.000 0.000 0.161
O: 0.320 0.160 0.888
O: 0.000 0.000 0.661
O: 0.508 0.016 0.156
O: 0.840 0.160 0.888

=====

No. 3
Material: Li9Mn2AlO8
Method: DFT, GGA+U
State: optimized geometry

Summary:
Its total DFT energy (no corrections) is -5.70 eV per atom.

Cell: 6.520 7.649 16.228 Å, 90.00 90.00 90.00°
Sites, in units of the cell vectors:
Li: 0.523 0.532 0.069
Li: 0.977 0.532 0.069
Li: 0.250 0.339 0.139
Li: 0.508 0.105 0.121
Li: 0.992 0.105 0.121
Li: 0.750 0.332 0.166
Li: 0.250 0.802 0.195
Li: 0.010 0.549 0.209
Li: 0.490 0.549 0.209
Li: 0.510 0.049 0.291
Li: 0.990 0.049 0.291
Li: 0.750 0.302 0.305
Li: 0.250 0.832 0.334
Li: 0.492 0.605 0.379
Li: 0.008 0.605 0.379
Li: 0.750 0.839 0.361
Li: 0.023 0.032 0.431
Li: 0.477 0.032 0.431
Li: 0.523 0.968 0.569
Li: 0.977 0.968 0.569
Li: 0.250 0.161 0.639
Li: 0.992 0.395 0.621
Li: 0.508 0.395 0.621
Li: 0.750 0.168 0.666
Li: 0.250 0.698 0.695
Li: 0.010 0.951 0.709
Li: 0.490 0.951 0.709
Li: 0.510 0.451 0.791
Li: 0.990 0.451 0.791
Li: 0.750 0.198 0.805
Li: 0.250 0.668 0.834
Li: 0.492 0.895 0.879
Li: 0.008 0.895 0.879
Li: 0.750 0.661 0.861
Li: 0.023 0.468 0.931
Li: 0.477 0.468 0.931
Mn: 0.250 0.773 0.030
Mn: 0.750 0.802 0.196
Mn: 0.250 0.302 0.304
Mn: 0.750 0.273 0.470
Mn: 0.250 0.727 0.530
Mn: 0.750 0.698 0.696
Mn: 0.250 0.198 0.804
Mn: 0.750 0.227 0.970
Al: 0.750 0.839 0.001
Al: 0.250 0.339 0.499
Al: 0.750 0.661 0.501
Al: 0.250 0.161 0.999
O: 0.471 0.292 0.024
O: 0.029 0.292 0.024
O: 0.250 0.013 0.088
O: 0.250 0.591 0.130
O: 0.750 0.564 0.141
O: 0.750 0.968 0.093
O: 0.999 0.278 0.224
O: 0.501 0.278 0.224
O: 0.499 0.778 0.276
O: 0.001 0.778 0.276
O: 0.250 0.468 0.407
O: 0.250 0.064 0.359
O: 0.750 0.091 0.370
O: 0.750 0.513 0.412
O: 0.971 0.792 0.476
O: 0.529 0.792 0.476
O: 0.471 0.208 0.524
O: 0.029 0.208 0.524
O: 0.250 0.487 0.588
O: 0.250 0.909 0.630
O: 0.750 0.936 0.641
O: 0.750 0.532 0.593
O: 0.999 0.222 0.724
O: 0.501 0.222 0.724
O: 0.499 0.722 0.776
O: 0.001 0.722 0.776
O: 0.250 0.032 0.907
O: 0.250 0.436 0.859
O: 0.750 0.409 0.870
O: 0.750 0.987 0.912
O: 0.971 0.708 0.976
O: 0.529 0.708 0.976

=====

No. 4
Material: Ca2VClO4
Method: DFT, GGA+U
State: optimized geometry

Summary:
Its total DFT energy (no corrections) is -6.72 eV per atom.

Cell: 6.398 7.204 11.190 Å, 90.00 90.00 90.00°
Sites, in units of the cell vectors:
Ca: 0.859 0.973 0.250
Ca: 0.141 0.473 0.250
Ca: 0.379 0.750 0.000
Ca: 0.621 0.250 0.500
Ca: 0.859 0.527 0.750
Ca: 0.141 0.027 0.750
Ca: 0.379 0.750 0.500
Ca: 0.621 0.250 0.000
V: 0.873 0.750 0.000
V: 0.127 0.250 0.000
V: 0.873 0.750 0.500
V: 0.127 0.250 0.500
Cl: 0.510 0.805 0.750
Cl: 0.490 0.195 0.250
Cl: 0.490 0.305 0.750
Cl: 0.510 0.695 0.250
O: 0.035 0.731 0.125
O: 0.291 0.436 0.029
O: 0.035 0.769 0.875
O: 0.291 0.064 0.529
O: 0.965 0.269 0.875
O: 0.709 0.564 0.529
O: 0.035 0.731 0.375
O: 0.291 0.436 0.471
O: 0.709 0.936 0.029
O: 0.291 0.064 0.971
O: 0.709 0.936 0.471
O: 0.965 0.231 0.375
O: 0.709 0.564 0.971
O: 0.965 0.269 0.625
O: 0.965 0.231 0.125
O: 0.035 0.769 0.625

=====

No. 5
Material: Li3FeF6
Method: DFT, GGA+U
State: optimized geometry

Summary:
For the relative energy among the computed polymorphs, the calculation gives 0.0254 eV per atom.

Cell: 5.134 5.134 9.528 Å, 90.00 90.00 120.00°
Sites, in units of the cell vectors:
Li: 0.667 0.333 0.463
Li: 0.667 0.333 0.750
Li: 0.333 0.667 0.250
Li: 0.333 0.667 0.537
Li: 0.333 0.667 0.963
Li: 0.667 0.333 0.037
Fe: 0.000 0.000 0.500
Fe: 0.000 0.000 0.000
F: 0.309 0.971 0.390
F: 0.338 0.029 0.890
F: 0.338 0.309 0.610
F: 0.309 0.338 0.110
F: 0.691 0.029 0.610
F: 0.662 0.971 0.110
F: 0.971 0.309 0.890
F: 0.029 0.338 0.390
F: 0.691 0.662 0.890
F: 0.662 0.691 0.390
F: 0.029 0.691 0.110
F: 0.971 0.662 0.610

=====

No. 6
Material: MgVSiO5
Method: DFT, GGA+U
State: optimized geometry

Summary:
For the relative energy among the computed polymorphs, the calculation gives 0.0000 eV per atom.

Cell: 5.407 6.981 10.099 Å, 69.04 92.32 75.24°
Sites, in units of the cell vectors:
Mg: 0.545 0.871 0.324
Mg: 0.045 0.372 0.824
Mg: 0.494 0.024 0.680
Mg: 0.995 0.523 0.180
V: 0.988 0.994 0.495
V: 0.512 0.978 0.007
V: 0.488 0.494 0.995
V: 0.011 0.478 0.506
Si: 0.475 0.605 0.652
Si: 0.975 0.105 0.152
Si: 0.517 0.396 0.346
Si: 0.017 0.896 0.846
O: 0.271 0.462 0.657
O: 0.771 0.962 0.157
O: 0.630 0.168 0.486
O: 0.130 0.668 0.986
O: 0.372 0.830 0.508
O: 0.872 0.330 0.008
O: 0.713 0.545 0.348
O: 0.213 0.045 0.848
O: 0.469 0.352 0.200
O: 0.969 0.852 0.700
O: 0.272 0.967 0.152
O: 0.772 0.467 0.652
O: 0.720 0.029 0.851
O: 0.220 0.529 0.351
O: 0.497 0.682 0.788
O: 0.997 0.181 0.288
O: 0.124 0.195 0.551
O: 0.624 0.695 0.051
O: 0.890 0.798 0.449
O: 0.390 0.298 0.949

=====

No. 7
Material: Na3MnO3
Method: DFT, GGA+U
State: optimized geometry

Summary:
For the relative energy among the computed polymorphs, the calculation gives 0.0360 eV per atom.

Cell: 5.910 6.579 11.587 Å, 90.55 89.38 65.81°
Sites, in units of the cell vectors:
Na: 0.765 0.449 0.033
Na: 0.765 0.449 0.533
Na: 0.235 0.551 0.467
Na: 0.235 0.551 0.967
Na: 0.770 0.980 0.061
Na: 0.770 0.980 0.561
Na: 0.230 0.020 0.439
Na: 0.230 0.020 0.939
Na: 0.240 0.774 0.223
Na: 0.240 0.774 0.723
Na: 0.760 0.226 0.277
Na: 0.760 0.226 0.777
Mn: 0.198 0.317 0.692
Mn: 0.802 0.682 0.308
Mn: 0.198 0.318 0.192
Mn: 0.802 0.682 0.808
O: 0.100 0.107 0.126
O: 0.100 0.107 0.626
O: 0.900 0.893 0.374
O: 0.900 0.893 0.874
O: 0.476 0.327 0.118
O: 0.476 0.327 0.618
O: 0.524 0.673 0.382
O: 0.524 0.673 0.882
O: 0.944 0.643 0.155
O: 0.944 0.643 0.655
O: 0.056 0.357 0.345
O: 0.056 0.357 0.845

=====

No. 8
Material: Mo2O3
Method: DFT, GGA+U
State: optimized geometry

Summary:
Its total DFT energy (no corrections) is -7.10 eV per atom.

Cell: 5.667 5.667 16.225 Å, 90.00 90.00 146.28°
Sites, in units of the cell vectors:
Mo: 0.633 0.367 0.045
Mo: 0.367 0.633 0.955
Mo: 0.633 0.367 0.455
Mo: 0.367 0.633 0.545
Mo: 0.100 0.900 0.644
Mo: 0.900 0.100 0.356
Mo: 0.900 0.100 0.144
Mo: 0.100 0.900 0.856
O: 0.000 0.000 0.500
O: 0.000 0.000 0.000
O: 0.483 0.517 0.852
O: 0.517 0.483 0.148
O: 0.517 0.483 0.352
O: 0.483 0.517 0.648
O: 0.741 0.259 0.927
O: 0.259 0.741 0.073
O: 0.259 0.741 0.427
O: 0.741 0.259 0.573
O: 0.186 0.814 0.750
O: 0.814 0.186 0.250

=====

No. 9
Material: Sr2NiWO6
Method: DFT, GGA+U
State: optimized geometry

Summary:
Its total DFT energy (no corrections) is -6.66 eV per atom.

Cell: 5.668 9.818 5.668 Å, 106.78 60.00 106.78°
Sites, in units of the cell vectors:
Sr: 0.125 0.375 0.125
Sr: 0.625 0.875 0.625
Sr: 0.375 0.125 0.375
Sr: 0.875 0.625 0.875
Ni: 0.250 0.750 0.250
Ni: 0.750 0.250 0.750
W: 0.000 0.000 0.000
W: 0.500 0.500 0.500
O: 0.136 0.379 0.621
O: 0.636 0.879 0.121
O: 0.879 0.121 0.364
O: 0.379 0.621 0.864
O: 0.621 0.379 0.136
O: 0.121 0.879 0.636
O: 0.621 0.379 0.621
O: 0.121 0.879 0.121
O: 0.364 0.121 0.879
O: 0.864 0.621 0.379
O: 0.879 0.121 0.879
O: 0.379 0.621 0.379